No. 1
! HgH24C8I4N2, relaxed, DFT GGA-PBE; values from VASP
&SYSTEM
  ibrav = 0, nat = 156, ntyp = 5
/
ATOMIC_SPECIES
Hg 200.59 Hg.upf
H 1.01 H.upf
C 12.01 C.upf
I 126.90 I.upf
N 14.01 N.upf
CELL_PARAMETERS angstrom
9.967 0.000 0.000
0.000 13.735 0.000
0.000 0.000 17.243
ATOMIC_POSITIONS angstrom
Hg 0.008 0.060 6.978
Hg 4.976 13.675 15.600
Hg 4.991 6.808 10.264
Hg 9.959 6.927 1.643
H 0.089 3.840 8.309
H 0.137 3.420 12.419
H 0.162 7.550 6.998
H 0.214 5.482 9.010
H 0.306 5.203 14.681
H 0.318 8.019 10.439
H 0.328 2.422 16.530
H 0.327 8.607 12.995
H 0.619 4.821 4.954
H 0.981 10.368 2.029
H 1.019 0.012 0.448
H 1.090 6.477 5.441
H 1.278 4.228 15.819
H 1.364 2.293 13.081
H 1.406 1.648 15.310
H 1.442 11.572 3.264
H 1.472 0.189 2.169
H 1.561 4.819 8.045
H 1.576 11.295 10.862
H 1.724 4.289 14.084
H 1.869 5.064 6.210
H 1.892 9.593 10.423
H 1.975 10.100 12.129
H 2.176 11.650 1.625
H 2.807 2.085 10.246
H 3.008 3.635 3.508
H 3.092 4.142 1.801
H 3.115 8.671 14.831
H 3.259 9.446 5.462
H 3.407 2.440 2.241
H 3.422 8.916 16.667
H 3.512 13.546 10.791
H 3.541 2.163 11.886
H 3.577 12.087 6.688
H 3.619 11.442 4.460
H 3.705 9.507 7.197
H 3.893 7.258 14.062
H 3.965 13.723 9.069
H 4.002 3.367 10.650
H 4.365 8.914 13.575
H 4.657 5.127 4.373
H 4.656 11.313 7.909
H 4.666 5.716 1.817
H 4.677 8.532 6.059
H 4.769 8.253 0.388
H 4.821 6.185 15.620
H 4.846 10.315 3.798
H 4.894 9.895 16.930
H 5.073 3.028 8.934
H 5.120 3.448 4.823
H 5.146 13.053 10.245
H 5.198 1.386 8.233
H 5.289 1.664 2.562
H 5.301 12.583 6.804
H 5.311 4.446 0.712
H 5.310 11.995 4.248
H 5.602 2.046 12.289
H 5.965 10.234 15.214
H 6.002 6.855 16.795
H 6.074 0.390 11.802
H 6.261 2.640 1.424
H 6.348 4.574 4.162
H 6.390 5.219 1.933
H 6.426 9.030 13.978
H 6.455 6.679 15.073
H 6.544 2.049 9.197
H 6.559 9.307 6.380
H 6.708 2.578 3.159
H 6.852 1.803 11.033
H 6.875 11.010 6.820
H 6.959 10.502 5.114
H 7.160 8.952 15.618
H 7.791 4.783 6.997
H 7.992 3.232 13.735
H 8.075 2.725 15.441
H 8.098 11.932 2.412
H 8.243 11.157 11.780
H 8.391 4.428 15.002
H 8.406 11.686 0.576
H 8.495 7.056 6.452
H 8.524 4.704 5.357
H 8.560 8.516 10.555
H 8.602 9.160 12.783
H 8.689 11.095 10.045
H 8.876 13.345 3.181
H 8.948 6.879 8.174
H 8.985 3.501 6.592
H 9.348 11.689 3.668
H 9.640 1.740 12.869
H 9.639 9.289 9.334
H 9.649 1.152 15.425
H 9.661 12.071 11.184
H 9.752 12.349 16.854
H 9.804 0.682 1.623
H 9.830 10.287 13.445
H 9.877 10.707 0.313
C 0.314 2.591 13.123
C 0.390 1.985 15.519
C 0.477 4.855 8.157
C 0.651 13.700 1.479
C 0.895 4.286 14.794
C 0.939 5.452 5.788
C 1.273 11.410 2.194
C 1.460 10.253 11.175
C 3.523 3.481 2.554
C 3.711 2.325 10.815
C 4.045 8.283 14.409
C 4.089 9.449 6.173
C 4.333 0.035 10.101
C 4.507 8.880 16.778
C 4.594 11.750 6.897
C 4.670 11.144 4.502
C 5.297 4.277 4.120
C 5.373 4.882 1.724
C 5.460 2.013 9.086
C 5.634 6.902 15.764
C 5.878 2.581 2.448
C 5.922 1.416 11.455
C 6.256 9.192 15.049
C 6.444 10.349 6.067
C 8.506 3.386 14.689
C 8.694 4.543 6.428
C 9.028 12.319 2.833
C 9.072 11.153 11.070
C 9.316 6.833 7.142
C 9.490 11.722 0.465
C 9.577 8.853 10.345
C 9.653 9.458 12.741
I 0.016 1.019 9.671
I 0.040 10.931 6.787
I 2.359 1.036 5.679
I 2.369 7.900 2.920
I 2.614 5.835 11.541
I 2.624 12.698 14.300
I 4.943 2.804 15.409
I 4.968 12.715 1.050
I 4.999 5.848 7.572
I 5.023 9.672 10.455
I 7.342 5.831 11.564
I 7.353 12.702 14.323
I 7.597 1.032 5.701
I 7.608 7.904 2.943
I 9.927 4.063 1.834
I 9.951 7.887 16.193
N 0.023 3.068 14.528
N 0.129 12.298 1.742
N 4.854 1.437 10.363
N 4.961 10.667 5.907
N 5.006 3.799 2.714
N 5.113 8.305 15.501
N 9.838 5.430 6.880
N 9.944 9.936 11.336
! Energy of formation in meV per atom: -197
! Total moment in Bohr magnetons per cell: 0.0
! Corrected total energy (MP2020 scheme) in eV for the cell shown: -744.070

***

No. 2
! LiZr2O4, relaxed, DFT GGA-PBE; values from VASP
&SYSTEM
  ibrav = 0, nat = 28, ntyp = 3
/
ATOMIC_SPECIES
Li 6.94 Li.upf
Zr 91.22 Zr.upf
O 16.00 O.upf
CELL_PARAMETERS angstrom
10.867 0.000 0.000
0.000 6.104 0.000
0.000 0.000 5.166
ATOMIC_POSITIONS angstrom
Li 1.112 1.526 0.303
Li 4.321 4.578 2.886
Li 6.546 1.526 2.280
Li 9.755 4.578 4.863
Zr 0.000 0.000 2.583
Zr 0.000 3.052 2.583
Zr 2.399 4.578 0.113
Zr 3.035 1.526 2.696
Zr 5.433 0.000 0.000
Zr 5.433 3.052 0.000
Zr 7.832 4.578 2.470
Zr 8.468 1.526 5.053
O 0.696 4.578 4.055
O 1.140 1.526 3.634
O 1.856 0.077 1.395
O 1.856 2.975 1.395
O 3.577 3.129 3.978
O 3.577 6.026 3.978
O 4.293 4.578 1.050
O 4.737 1.526 1.472
O 6.130 4.578 3.695
O 6.574 1.526 4.116
O 7.290 0.077 1.188
O 7.290 2.975 1.188
O 9.011 3.129 3.772
O 9.011 6.026 3.772
O 9.726 4.578 1.533
O 10.170 1.526 1.112
! Energy of formation in meV per atom: -3278
! ΔE to the lowest computed polymorph in meV per atom: 0.0
! Total moment in Bohr magnetons per cell: 0.0
! Corrected total energy (MP2020 scheme) in eV for the cell shown: -246.980

***

No. 3
! LiAlPdF6, relaxed, DFT GGA-PBE; values from VASP
&SYSTEM
  ibrav = 0, nat = 18, ntyp = 4
/
ATOMIC_SPECIES
Li 6.94 Li.upf
Al 26.98 Al.upf
Pd 106.42 Pd.upf
F 19.00 F.upf
CELL_PARAMETERS angstrom
5.075 0.000 0.000
-2.537 4.395 0.000
0.000 0.000 9.246
ATOMIC_POSITIONS angstrom
Li 0.000 2.930 2.312
Li 2.537 1.465 6.935
Al 0.000 2.930 6.935
Al 2.537 1.465 2.312
Pd 0.000 0.000 0.000
Pd 0.000 0.000 4.623
F -0.796 1.637 7.961
F -1.518 2.887 5.909
F 0.796 1.637 5.909
F -0.722 4.266 7.961
F 1.816 0.129 3.337
F 1.019 1.508 1.286
F 1.518 2.887 7.961
F 0.722 4.266 5.909
F 3.259 0.129 1.286
F 1.741 2.758 3.337
F 4.055 1.508 3.337
F 3.334 2.758 1.286
! Energy of formation in meV per atom: -2882
! Total moment in Bohr magnetons per cell: 4.0
! Corrected total energy (MP2020 scheme) in eV for the cell shown: -96.521

***

No. 4
! Bi3ClO4, relaxed, DFT GGA-PBE; values from VASP
&SYSTEM
  ibrav = 0, nat = 16, ntyp = 3
/
ATOMIC_SPECIES
Bi 208.98 Bi.upf
Cl 35.45 Cl.upf
O 16.00 O.upf
CELL_PARAMETERS angstrom
9.803 -2.899 0.000
9.803 2.899 0.000
-1.671 0.000 5.546
ATOMIC_POSITIONS angstrom
Bi 6.863 1.179 0.340
Bi 8.550 1.712 4.160
Bi 11.907 1.179 2.433
Bi 6.027 -1.179 3.113
Bi 9.385 -1.712 1.387
Bi 11.072 -1.179 5.206
Cl 4.066 1.450 2.773
Cl 4.901 -1.450 0.000
O 9.443 -2.515 5.507
O 8.491 2.515 0.039
O 10.279 2.515 2.734
O 7.376 0.239 2.205
O 6.540 -0.239 4.978
O 11.394 0.239 0.568
O 10.559 -0.239 3.341
O 7.656 -2.515 2.812
! Energy of formation in meV per atom: -1587
! Total moment in Bohr magnetons per cell: 0.0
! Corrected total energy (MP2020 scheme) in eV for the cell shown: -92.018